No. 1
Li2US3 | PBE | optimized geometry

The structure in extended XYZ format:
```
12
Lattice="2.0787 -5.8925 -1.9131 1.1245 -0.4704 6.5481 -3.9024 -3.8603 3.7726" Properties=species:S:1:pos:R:3 pbc="T T T"
Li 0.0000 0.0000 0.0000
Li -0.3496 -5.1116 4.2038
Li -1.2805 -6.5628 7.6623
Li 0.5813 -3.6604 0.7453
U -1.8519 -2.8870 6.8802
U -0.9261 -1.4437 3.4405
S 0.3601 -2.8188 5.3569
S 0.9494 -6.4887 6.1578
S 1.8904 -5.0219 2.6622
S -1.0593 -7.4044 3.0507
S -1.6487 -3.7345 2.2498
S -2.5896 -5.2013 5.7455
```

## Properties
Calculated volume = 236 Å³ per cell
Energy relative to the elements = -1645 meV/atom
Energy with MP2020 corrections = -6.232 eV per atom
E_tot = -71.8 eV per cell



No. 2
Mg6GaSi | PBE | optimized geometry

The structure in extended XYZ format:
```
16
Lattice="5.1627 0.0000 0.0000 0.0000 6.0277 0.0000 0.0000 0.0000 10.5976" Properties=species:S:1:pos:R:3 pbc="T T T"
Mg 0.0000 4.5004 0.9128
Mg 0.0000 1.5273 0.9128
Mg 0.0000 0.0000 3.5296
Mg 2.5814 1.5415 4.3756
Mg 2.5814 4.4862 4.3756
Mg 2.5814 0.0000 1.7712
Mg 0.0000 1.4866 6.2117
Mg 0.0000 4.5412 6.2117
Mg 0.0000 3.0139 8.8284
Mg 2.5814 4.5554 9.6744
Mg 2.5814 1.4723 9.6744
Mg 2.5814 3.0139 7.0701
Ga 2.5814 3.0139 1.7711
Ga 2.5814 0.0000 7.0699
Si 0.0000 3.0139 3.5466
Si 0.0000 0.0000 8.8454
```

## Properties
Calculated volume = 330 Å³ per cell
Energy relative to the elements = 33 meV/atom
Polymorph energy (0 for the lowest one) = 3.1 meV/atom
Energy with MP2020 corrections = -2.224 eV per atom
E_tot = -35.7 eV per cell



No. 3
EuSiPt | PBE | optimized geometry

The structure in extended XYZ format:
```
12
Lattice="-4.7725 -3.7189 2.2932 1.0260 -4.2551 -4.7652 4.2469 -3.1511 3.7282" Properties=species:S:1:pos:R:3 pbc="T T T"
Eu 1.7991 -7.0651 -0.9510
Eu -1.9349 -7.0831 0.3769
Eu 1.0719 -6.6602 2.9238
Eu 0.0649 -1.4417 0.1628
Si -1.5820 -4.2309 1.9875
Si 2.3804 -4.1346 1.2617
Si -0.2154 -4.5955 -1.7856
Si 0.4179 -9.2890 1.0490
Pt 4.0903 -5.6827 0.8262
Pt -1.4902 -6.3336 -2.7149
Pt -1.8075 -5.6033 3.8784
Pt 0.2083 -4.6306 0.5229
```

## Properties
Calculated volume = 271 Å³ per cell
Energy relative to the elements = -1038 meV/atom
E_tot = -99.5 eV per cell



No. 4
MgAg14Pb6O18 | PBE | optimized geometry

The structure in extended XYZ format:
```
39
Lattice="7.8635 -2.6480 3.3048 1.5096 4.9135 -7.3482 -1.0336 8.4953 2.2644" Properties=species:S:1:pos:R:3 pbc="T T T"
Mg 6.6332 0.7338 1.5991
Ag 6.1765 4.2261 2.9257
Ag 0.9935 8.2885 -0.0295
Ag 5.8246 9.4507 -1.9394
Ag 4.8347 7.9102 -4.3198
Ag 1.4176 11.9421 -4.2591
Ag 2.5075 9.2602 -2.9781
Ag 3.5764 6.8250 -1.4924
Ag 4.9614 4.1900 -0.1523
Ag 3.3847 1.6661 0.4936
Ag 7.5506 -1.8806 2.8690
Ag 0.4493 6.7817 -2.5684
Ag 7.4182 2.5143 -1.6449
Ag 2.3162 6.4611 -4.9556
Ag 4.7652 1.1605 -2.0459
Pb 3.4474 6.5648 2.3589
Pb 6.5733 7.3573 0.9748
Pb 1.0667 4.5930 0.3834
Pb 7.3819 6.1568 -2.2350
Pb 1.9726 3.4285 -2.7401
Pb 5.1796 4.1917 -4.0324
O 5.7726 6.3247 2.8129
O 4.4241 7.6701 0.4545
O 6.6604 2.1405 3.1108
O 1.1848 6.6202 1.2794
O 7.2426 8.1066 -1.0742
O 4.3222 10.6989 -2.7818
O 0.8042 9.8949 -1.4722
O 3.0612 3.9076 1.0398
O 6.8312 5.3885 -0.1640
O 4.6928 0.0760 1.3745
O 1.7770 5.4051 -1.6305
O 7.6089 0.9276 -0.2130
O 5.2719 6.2293 -3.0055
O 0.7019 2.7915 -0.9357
O 7.2727 4.0589 -3.1377
O 4.1533 3.1909 -2.2022
O 1.7129 8.5400 -5.1051
O 2.9498 4.4475 -4.5663
```

## Properties
Calculated volume = 626 Å³ per cell
Energy relative to the elements = -882 meV/atom
Polymorph energy (0 for the lowest one) = 0.0 meV/atom
Energy with MP2020 corrections = -4.795 eV per atom
E_tot = -174.6 eV per cell



No. 5
ErP2O2 | PBE | optimized geometry

The structure in extended XYZ format:
```
20
Lattice="-4.3933 4.3933 7.8611 4.3933 -4.3933 7.8611 4.3933 4.3933 -7.8611" Properties=species:S:1:pos:R:3 pbc="T T T"
Er 0.0000 6.5900 1.9653
Er 0.0000 2.1967 1.9653
Er 2.1967 4.3933 5.8958
Er -2.1967 4.3933 5.8958
P 0.0000 2.7252 5.5486
P 4.3933 1.6681 -2.3125
P 1.6681 0.0000 1.6180
P 4.3933 2.7252 6.2431
P 4.3933 -2.7252 6.2431
P 7.1185 0.0000 1.6181
P 2.7252 0.0000 10.1736
P 1.6681 4.3933 2.3125
O 0.0000 2.0505 4.1249
O 4.3933 2.3428 -3.7362
O 2.3428 0.0000 0.1944
O 4.3933 2.0505 7.6668
O 4.3933 -2.0505 7.6668
O 6.4438 0.0000 0.1944
O 2.0505 0.0000 11.5973
O 2.3428 4.3933 3.7362
```

## Properties
Calculated volume = 607 Å³ per cell
Energy relative to the elements = -1467 meV/atom
Energy with MP2020 corrections = -6.525 eV per atom
E_tot = -125.0 eV per cell



No. 6
TbTiFe11N | PBE | optimized geometry

The structure in extended XYZ format:
```
14
Lattice="0.0000 0.0000 4.8204 -4.3140 4.2749 2.4102 -4.3140 -4.2749 -2.4102" Properties=species:S:1:pos:R:3 pbc="T T T"
Tb -4.3140 4.2205 2.4102
Ti -4.3140 -1.1534 2.4102
Fe -4.3140 2.3434 4.8204
Fe -4.3140 -2.3709 0.0000
Fe -6.7051 0.0249 2.4102
Fe -1.9229 0.0249 2.4102
Fe -6.4516 2.1305 3.6117
Fe -6.4516 2.1305 1.2087
Fe -2.1764 2.1305 3.6117
Fe -2.1764 2.1305 1.2087
Fe -4.3140 1.2174 2.4102
Fe -3.0991 0.0031 4.8204
Fe -5.5289 0.0031 4.8204
N -4.3140 4.2646 4.8204
```

## Properties
Calculated volume = 178 Å³ per cell
Energy relative to the elements = -201 meV/atom
Energy with MP2020 corrections = -8.346 eV per atom
E_tot = -116.5 eV per cell



No. 7
CaMgB2O5 | PBE | optimized geometry

The structure in extended XYZ format:
```
72
Lattice="11.2188 0.0000 0.0000 0.0000 5.5711 0.0000 0.0000 2.5231 12.1445" Properties=species:S:1:pos:R:3 pbc="T T T"
Ca 6.9492 3.5579 7.1902
Ca 1.3398 1.7507 4.9543
Ca 4.2697 4.5363 4.9543
Ca 9.8791 6.3435 7.1902
Ca 4.1768 5.9287 11.0635
Ca 9.7863 4.9511 1.0809
Ca 7.0420 2.1655 1.0809
Ca 1.4326 3.1431 11.0635
Mg 4.1843 3.2803 8.9442
Mg 9.7937 2.0283 3.2003
Mg 7.0346 4.8139 3.2003
Mg 1.4251 6.0659 8.9442
Mg 7.0376 6.0911 9.2567
Mg 1.4281 4.7886 2.8878
Mg 4.1813 2.0031 2.8878
Mg 9.7907 3.3056 9.2567
B 6.9495 7.2445 12.0057
B 4.2167 2.0014 6.1866
B 9.8261 3.3072 5.9579
B 7.0022 6.0928 5.9579
B 1.3927 4.7870 6.1866
B 1.3400 3.6353 0.1388
B 4.2694 0.8497 0.1388
B 9.8788 4.4589 12.0057
B 4.2898 6.1111 8.1799
B 9.8993 4.7686 3.9646
B 6.9290 1.9831 3.9646
B 1.3196 3.3256 8.1799
B 7.0160 3.2068 10.0270
B 1.4066 2.1019 2.1174
B 4.2029 4.8875 2.1174
B 9.8123 5.9923 10.0270
O 7.5033 6.0277 7.2274
O 4.7017 1.9253 0.8541
O 0.9077 4.7108 0.8541
O 6.5171 6.1689 11.2903
O 1.0406 5.9061 6.8879
O 6.6500 4.9737 5.2566
O 10.1783 2.1881 5.2566
O 4.5688 3.1205 6.8879
O 1.7718 6.2747 10.9900
O 7.3812 4.6051 1.1545
O 9.4470 1.8195 1.1545
O 10.3112 3.3834 11.2903
O 3.8376 3.4891 10.9900
O 9.3250 3.2421 7.2274
O 3.7156 2.0665 4.9171
O 1.8939 4.8521 4.9171
O 8.9980 6.9530 9.4920
O 3.3886 3.9267 2.6525
O 2.2209 1.1412 2.6525
O 7.8303 4.1675 9.4920
O 2.1967 4.1042 8.8942
O 7.8061 1.2045 3.2503
O 9.0222 3.9900 3.2503
O 3.4127 6.8897 8.8942
O 10.6482 5.2538 9.2241
O 5.0388 5.6260 2.9204
O 0.5706 2.8405 2.9204
O 6.1800 2.4682 9.2241
O 0.5120 2.4112 8.8164
O 6.1214 2.8974 3.3281
O 10.7068 5.6830 3.3281
O 5.0974 5.1968 8.8164
O 9.7648 5.7625 11.4343
O 4.1553 5.1173 0.7102
O 1.4541 2.3317 0.7102
O 7.0635 2.9769 11.4343
O 1.2543 3.4881 6.7721
O 6.8637 1.8205 5.3724
O 4.3551 6.2737 6.7721
O 9.9645 4.6061 5.3724
```

## Properties
Calculated volume = 759 Å³ per cell
Energy relative to the elements = -3130 meV/atom
Polymorph energy (0 for the lowest one) = 0.0 meV/atom
Energy with MP2020 corrections = -7.764 eV per atom
E_tot = -531.5 eV per cell



No. 8
Tb4Bi3 | PBE | optimized geometry

The structure in extended XYZ format:
```
14
Lattice="6.9677 -0.9501 4.1620 -4.8662 -6.4282 1.3313 1.6506 0.5596 -7.9835" Properties=species:S:1:pos:R:3 pbc="T T T"
Tb 4.0663 -0.2776 -0.7363
Tb 4.8917 0.0022 -4.7281
Tb 2.4280 -4.4124 -1.6114
Tb -0.8919 -1.9887 -3.5219
Tb 0.5520 -1.0031 -0.3663
Tb 3.5096 -4.0244 4.2154
Tb -3.3251 -5.2028 -2.8563
Tb 0.0257 -3.5494 2.1344
Bi -1.3344 -4.4503 -5.4668
Bi 6.7264 -1.2152 -2.1794
Bi 2.9426 -2.8645 1.1046
Bi 2.4280 -1.6136 -3.0961
Bi 1.1742 -6.2673 3.2885
Bi -0.6805 -4.0453 -1.1212
```

## Properties
Calculated volume = 420 Å³ per cell
Energy relative to the elements = -745 meV/atom
E_tot = -70.8 eV per cell



No. 9
Pr6Fe13Ge | PBE | optimized geometry

The structure in extended XYZ format:
```
40
Lattice="7.6686 -0.0064 -2.5533 -0.8485 7.6191 -2.5389 0.0259 0.0530 12.9136" Properties=species:S:1:pos:R:3 pbc="T T T"
Pr 7.1077 3.6655 4.3006
Pr 4.8258 1.1570 6.0447
Pr 6.5654 0.1999 2.6234
Pr 6.0933 6.8469 5.5641
Pr 2.6698 3.0278 8.1298
Pr 0.7511 0.8198 2.2422
Pr 4.1597 4.6451 -0.3117
Pr 3.7277 2.7234 2.6678
Pr -0.2496 4.0165 3.5070
Pr 2.0499 6.5575 1.7986
Pr 3.1088 4.9516 5.1584
Pr 0.2839 7.4619 5.1560
Fe 1.2071 3.6840 0.7235
Fe 6.4852 6.0142 -4.3869
Fe 5.9875 0.5009 -2.1756
Fe 4.0889 2.2019 -2.1688
Fe 4.8987 6.6976 -2.5997
Fe 0.3888 4.7498 9.4984
Fe 5.2453 1.5854 0.1453
Fe 6.4328 2.8968 -1.6616
Fe 1.8415 3.2985 -1.8287
Fe -0.0907 2.2639 9.6732
Fe 1.5796 6.0820 7.6701
Fe 2.7293 1.8066 -0.0415
Fe 2.8850 7.4815 -1.2785
Fe 5.6566 3.9969 7.1196
Fe 7.2363 3.8026 -3.8092
Fe 1.1977 5.6201 -0.9389
Fe 6.9516 5.3814 -1.8404
Fe 4.1167 5.8497 7.8520
Fe 3.9540 0.1783 9.0902
Fe 0.8344 7.1546 9.9906
Fe 2.7218 5.4506 9.9945
Fe 4.9778 4.3555 9.6580
Fe 2.9983 7.6580 9.0925
Fe 0.3285 1.6045 -0.6910
Fe 5.6388 2.0424 8.7807
Fe 1.9268 0.9547 10.3991
Ge 5.1134 5.7502 2.6158
Ge 1.7132 1.9529 5.1875
```

## Properties
Calculated volume = 756 Å³ per cell
Energy relative to the elements = -70 meV/atom
E_tot = -289.7 eV per cell



No. 10
Na3YC3O12 | PBE | optimized geometry

The structure in extended XYZ format:
```
76
Lattice="-5.3958 -1.6543 -2.7314 2.8246 -9.5984 0.2334 -7.5374 -1.8290 15.9976" Properties=species:S:1:pos:R:3 pbc="T T T"
Na 2.1397 -9.5940 1.5101
Na -9.6056 -2.6775 13.3273
Na -2.9466 -6.0311 9.4001
Na -4.5193 -6.2404 5.4374
Na -0.9745 -6.8379 5.9467
Na -6.5261 -5.4442 8.8732
Na -4.1311 -9.8325 13.9961
Na -3.3695 -2.4496 0.8238
Na -4.6102 -5.3227 -1.9316
Na -8.0989 -8.5563 14.1149
Na -9.0882 -3.8269 6.0086
Na -3.6209 -10.0521 6.1747
Y -2.7969 -7.8469 1.0814
Y -6.1134 -4.8675 13.0248
Y -6.1453 -10.1896 9.1150
Y -2.7650 -2.5247 4.9912
C -5.6958 -11.3748 3.8955
C -7.0005 -2.5003 8.2943
C -10.5293 -8.6710 11.8063
C -2.1670 -5.2041 0.3834
C -0.7078 -9.4254 0.0832
C -11.9692 -4.4437 12.1163
C -5.2304 -7.7780 8.0197
C -7.4466 -6.0912 4.1798
C -2.9987 -8.1418 3.8165
C -9.6894 -5.7308 8.3774
C -6.5106 -9.9289 11.8365
C -6.1775 -3.9437 0.3574
O -2.1858 -5.6858 1.5900
O -9.8524 -7.9876 10.9329
O -7.2930 -2.0521 9.4782
O -4.7453 -11.6212 3.0447
O -2.0227 -8.6111 3.1050
O -9.9664 -5.0471 9.4428
O -5.9348 -9.0383 11.0919
O -6.0543 -4.6200 1.4558
O -0.7590 -8.1291 -0.0478
O -11.5033 -5.6129 12.4572
O -4.5700 -8.8999 7.9476
O -7.6923 -4.8421 4.4619
O -5.6700 -10.3273 4.6252
O -5.9653 -3.2225 8.1017
O -9.9501 -9.5038 12.5817
O -1.6851 -4.0459 0.1451
O -2.6398 -5.9738 -0.5712
O -6.4263 -6.7883 14.5985
O -7.8021 -2.1527 7.3125
O -1.2640 -10.6095 6.7149
O 0.0881 -7.0202 2.5590
O -8.6375 -5.5835 11.7299
O -3.2918 -9.2558 10.5900
O -5.2576 -3.3479 3.6990
O -1.8107 -10.0122 0.4711
O -7.0798 -2.6961 13.6452
O -6.4804 -7.8650 8.3954
O -2.4101 -4.8433 5.7208
O -5.2452 -7.6958 0.7402
O -7.4788 -6.1878 11.4355
O -8.1173 -11.6571 8.8131
O -4.6067 -2.2265 3.3626
O 0.3687 -10.0897 -0.1191
O -11.9045 -3.4297 12.8963
O -4.6824 -6.6466 7.7737
O -6.8535 -6.8727 5.0034
O -4.0544 -7.7285 3.1537
O -5.1110 -5.0640 10.8234
O -7.1657 -10.8770 11.2069
O -1.9997 -1.9156 2.7702
O -2.9394 -8.0448 5.0901
O -8.6619 -5.4945 7.6540
O -6.4250 -9.9212 13.1123
O -5.1763 -3.6182 -0.3682
O -4.0766 -9.0242 -0.6122
O -8.5337 -4.8246 12.8454
O -7.8362 -9.9697 7.3874
O -4.7741 -3.8790 4.8459
```

## Properties
Calculated volume = 1116 Å³ per cell
Energy relative to the elements = -1549 meV/atom
E_tot = -507.7 eV per cell



No. 11
BaCuCO3F2 | PBE | optimized geometry

The structure in extended XYZ format:
```
32
Lattice="4.9789 0.0000 0.0000 0.0000 8.6141 0.0000 0.0000 0.0000 9.7775" Properties=species:S:1:pos:R:3 pbc="T T T"
Ba 3.6174 6.4606 4.8887
Ba 1.3615 2.1535 0.0000
Ba 1.3615 2.1535 4.8887
Ba 3.6174 6.4606 0.0000
Cu 1.2174 7.8652 2.4444
Cu 3.7615 3.5581 2.4444
Cu 1.2174 5.0560 7.3331
Cu 3.7615 0.7489 7.3331
C 1.0337 7.8948 7.3331
C 1.0337 5.0263 2.4444
C 3.9452 3.5878 7.3331
C 3.9452 0.7193 2.4444
O 1.8901 6.9186 7.3331
O 1.4331 0.4936 7.3331
O 4.7313 7.6183 7.3331
O 1.8901 6.0025 2.4444
O 0.2476 0.9958 2.4444
O 3.0888 2.6115 7.3331
O 0.2476 3.3113 7.3331
O 3.5458 4.8007 7.3331
O 4.7313 5.3028 2.4444
O 1.4331 3.8134 2.4444
O 3.0888 1.6955 2.4444
O 3.5458 8.1204 2.4444
F 1.2005 7.8796 4.3959
F 3.7784 0.7345 9.2846
F 1.2005 5.0415 9.2846
F 1.2005 5.0415 5.3816
F 1.2005 7.8796 0.4929
F 3.7784 0.7345 5.3816
F 3.7784 3.5725 0.4929
F 3.7784 3.5725 4.3959
```

## Properties
Calculated volume = 419 Å³ per cell
Energy relative to the elements = -2450 meV/atom
Energy with MP2020 corrections = -6.690 eV per atom
E_tot = -202.1 eV per cell



> The highest calculated volume belongs to which entry?

Na3YC3O12